Entry 1:
HoB2Ru3 | PBE | optimized geometry

Geometry as extended XYZ:
```
6
Lattice="0.000 0.000 -3.036 -2.750 -4.764 0.000 -2.750 4.764 0.000" Properties=species:S:1:pos:R:3 pbc="T T T"
B -2.750 -1.588 0.000
B -2.750 1.588 0.000
Ru -1.375 -2.382 -1.518
Ru -2.750 0.000 -1.518
Ru -1.375 2.382 -1.518
Ho 0.000 0.000 0.000
```

Properties
Formation enthalpy at 0 K ... -0.4777 eV/atom
E_tot ... -8.105 eV/atom
SG ... P6/mmm

Entry 2:
HoB2Ru2 | PBE | optimized geometry

Geometry as extended XYZ:
```
40
Lattice="8.268 0.000 0.000 0.000 8.268 0.000 -4.134 -4.134 10.847" Properties=species:S:1:pos:R:3 pbc="T T T"
Ru -3.936 2.450 10.745
Ru 1.684 0.198 0.102
Ru 0.198 2.450 5.525
Ru 5.818 3.936 0.102
Ru 3.936 -1.684 5.525
Ru 2.450 4.332 0.102
Ru -1.684 3.936 5.322
Ru 4.332 1.684 5.525
Ru -0.198 -1.684 10.745
Ru 2.450 0.198 5.322
Ru 1.684 4.332 5.322
Ru 5.818 -0.198 5.322
Ru 0.198 1.684 10.745
Ru 6.584 8.070 0.102
Ru 3.936 -2.450 10.745
Ru -0.198 5.818 5.525
Ho 0.000 2.067 2.712
Ho 2.067 0.000 8.135
Ho -2.067 0.000 8.135
Ho -2.067 4.134 8.135
Ho 4.134 6.201 2.712
Ho 0.000 6.201 2.712
Ho 2.067 4.134 8.135
Ho 4.134 2.067 2.712
B 3.518 0.544 0.889
B 0.616 4.678 0.889
B 3.590 -0.616 9.958
B -0.544 -0.616 6.312
B 0.616 0.544 4.535
B 0.544 3.518 9.958
B 4.750 7.724 0.889
B 4.750 3.590 4.535
B 3.590 4.750 6.312
B 7.652 3.590 0.889
B -0.616 -0.544 4.535
B 4.678 3.518 6.312
B -0.544 -3.518 9.958
B 3.518 4.678 4.535
B -3.590 0.616 9.958
B 0.544 0.616 6.312
```

Properties
Formation enthalpy at 0 K ... 0.4403 eV/atom
E_tot ... -6.858 eV/atom
SG ... I4_1/acd

Entry 3:
HoB4Ru | PBE | optimized geometry

Geometry as extended XYZ:
```
24
Lattice="-3.111 1.556 -0.708 -1.701 -0.837 5.638 4.456 10.214 2.862" Properties=species:S:1:pos:R:3 pbc="T T T"
B 1.295 9.960 7.294
B 1.007 7.538 3.241
B 0.187 5.889 3.217
B -0.629 5.620 6.216
B -1.363 3.394 4.551
B -0.224 3.904 0.662
B -1.087 2.497 1.364
B -2.388 0.744 3.232
B 1.235 8.632 4.643
B 0.273 5.312 1.576
B -1.652 0.973 0.498
B -0.544 5.044 4.575
B 2.032 10.189 4.560
B -0.133 7.029 7.130
B 0.730 8.435 6.428
B -1.591 2.300 3.149
Ho 1.826 6.111 5.405
Ho 3.569 8.576 3.159
Ho 0.929 3.266 3.095
Ho -0.815 0.801 5.341
Ru 2.953 8.730 6.208
Ru -0.198 0.647 2.292
Ru 2.402 5.937 2.489
Ru 0.353 3.440 6.011
```

Properties
Formation enthalpy at 0 K ... -0.6426 eV/atom
E_tot ... -7.405 eV/atom
SG ... Pbam

Entry 4:
Ho2B6Ru | PBE | optimized geometry

Geometry as extended XYZ:
```
36
Lattice="3.653 0.000 0.000 0.000 9.119 0.000 0.000 0.000 11.487" Properties=species:S:1:pos:R:3 pbc="T T T"
Ru 0.000 5.822 3.688
Ru 0.000 7.857 9.432
Ru 0.000 3.297 7.800
Ru 0.000 1.263 2.056
B 1.827 1.902 8.426
B 1.827 4.704 8.189
B 1.827 5.561 0.346
B 1.827 2.266 0.918
B 1.827 4.415 3.299
B 1.827 5.054 4.975
B 1.827 3.353 9.363
B 1.827 8.975 2.445
B 1.827 1.207 3.619
B 1.827 6.854 10.569
B 1.827 7.912 7.868
B 1.827 2.658 2.682
B 1.827 1.001 5.398
B 1.827 4.065 6.513
B 1.827 6.825 4.826
B 1.827 2.294 6.662
B 1.827 8.118 6.090
B 1.827 0.494 0.769
B 1.827 0.145 9.042
B 1.827 8.625 10.718
B 1.827 7.217 3.061
B 1.827 3.558 11.141
B 1.827 6.462 8.805
B 1.827 5.767 2.125
Ho 0.000 1.621 10.502
Ho 0.000 5.068 10.024
Ho 0.000 2.939 4.758
Ho 0.000 8.611 4.280
Ho 0.000 0.508 7.207
Ho 0.000 6.181 6.729
Ho 0.000 7.498 0.985
Ho 0.000 4.052 1.464
```

Properties
Formation enthalpy at 0 K ... -0.6903 eV/atom
E_tot ... -7.192 eV/atom
SG ... Pbam

Entry 5:
Ho5Si2B8 | PBE | optimized geometry

Geometry as extended XYZ:
```
30
Lattice="-4.621 -2.750 4.795 5.306 -0.453 4.853 -1.732 7.420 2.587" Properties=species:S:1:pos:R:3 pbc="T T T"
B -0.283 1.213 0.423
B -2.029 -2.689 6.355
B -3.524 -2.720 5.445
B 0.060 -0.389 5.247
B 4.209 -0.483 4.203
B 2.715 -0.515 3.293
B -1.418 -1.169 2.403
B -1.106 4.606 6.988
B 2.104 -2.035 7.245
B -1.449 6.207 2.164
B 1.275 -2.711 8.630
B 1.348 -1.145 4.187
B -0.392 -1.416 3.799
B -0.589 -0.492 1.018
B 1.077 -1.788 5.849
B -0.663 -2.058 5.461
Ho -0.564 -0.900 7.812
Ho 1.528 4.507 7.516
Ho -1.519 3.195 9.239
Ho 0.473 1.021 2.995
Ho -0.866 3.710 1.293
Ho -3.530 3.804 6.146
Ho -0.523 2.108 6.117
Ho 2.484 0.412 6.088
Ho -0.482 5.116 4.423
Ho -2.574 -0.291 4.719
Si 0.985 1.617 8.537
Si -2.031 2.600 3.698
Si -2.912 1.103 7.402
Si 1.866 3.114 4.832
```

Properties
Formation enthalpy at 0 K ... -0.6794 eV/atom
E_tot ... -6.493 eV/atom
SG ... P4/mbm

Entry 6:
Ho5Si3B | PBE | optimized geometry

Geometry as extended XYZ:
```
18
Lattice="4.252 -7.365 0.000 4.252 7.365 0.000 0.000 0.000 6.300" Properties=species:S:1:pos:R:3 pbc="T T T"
Ho 4.252 2.455 0.000
Ho 3.234 5.601 4.725
Ho 4.252 -2.455 0.000
Ho 4.252 2.455 3.150
Ho 6.468 0.000 1.575
Ho 1.019 -1.764 1.575
Ho 2.037 0.000 4.725
Ho 1.019 1.764 1.575
Ho 3.234 -5.601 4.725
Ho 4.252 -2.455 3.150
Si 1.698 2.941 4.725
Si 3.396 0.000 1.575
Si 1.698 -2.941 4.725
Si 2.554 4.424 1.575
Si 2.554 -4.424 1.575
Si 5.109 0.000 4.725
B 0.000 0.000 0.000
B 0.000 0.000 3.150
```

Properties
Formation enthalpy at 0 K ... -0.5394 eV/atom
E_tot ... -5.636 eV/atom
SG ... P6_3/mcm

Entry 7:
HoVB4 | PBE | optimized geometry

Geometry as extended XYZ:
```
24
Lattice="3.436 0.000 0.000 0.000 5.990 0.000 0.000 0.000 11.595" Properties=species:S:1:pos:R:3 pbc="T T T"
B 0.000 5.302 11.044
B 0.000 3.131 3.566
B 0.000 1.716 9.441
B 0.000 3.805 0.377
B 0.000 2.307 6.349
B 0.000 5.853 9.363
B 0.000 3.682 5.247
B 0.000 5.180 6.175
B 0.000 2.858 8.030
B 0.000 0.137 2.232
B 0.000 1.279 3.644
B 0.000 0.687 0.551
B 0.000 2.185 11.218
B 0.000 0.810 5.420
B 0.000 4.711 7.952
B 0.000 4.273 2.154
Ho 1.718 5.246 4.041
Ho 1.718 2.251 1.757
Ho 1.718 0.743 7.554
Ho 1.718 3.738 9.839
V 1.718 3.757 6.759
V 1.718 2.232 4.837
V 1.718 5.227 0.961
V 1.718 0.762 10.634
```

Properties
Formation enthalpy at 0 K ... -0.7213 eV/atom
E_tot ... -7.452 eV/atom
SG ... Pbam

Entry 8:
Ho3B7W | PBE | optimized geometry

Geometry as extended XYZ:
```
22
Lattice="-7.522 -1.414 -2.815 6.613 -1.436 4.551 -3.595 5.360 6.916" Properties=species:S:1:pos:R:3 pbc="T T T"
Ho 3.088 1.568 7.636
Ho 2.273 -0.091 4.487
Ho -6.777 2.601 4.165
Ho -7.592 0.943 1.016
Ho 1.722 3.605 10.264
Ho -6.226 -1.095 -1.612
W -9.471 2.605 2.762
W 4.967 -0.095 5.890
B -0.718 3.756 9.233
B -2.309 1.746 5.102
B -2.884 -0.636 0.891
B -2.196 0.764 3.550
B -3.790 2.596 5.722
B -0.715 -0.086 2.930
B -3.627 0.472 2.320
B -0.877 2.039 6.332
B -3.786 -1.245 -0.581
B -5.349 1.086 2.426
B -1.620 3.146 7.761
B -1.057 -0.933 1.360
B -3.447 3.444 7.292
B 0.844 1.425 6.226
```

Properties
Formation enthalpy at 0 K ... -0.6056 eV/atom
E_tot ... -7.284 eV/atom
SG ... Cmcm